A plane-wave DFT calculation with GGA+U was carried out for a geometry-optimized MgMo2Cl8O2 structure.

Summary:
The excess energy over the best structure of this formula in the dataset is 0.000 eV per atom. The calculation puts the energy at -56.2 eV per cell. The calculation puts the energy of formation at -1231.6 meV per atom.

The structure in CIF format:
```
data_MgMo2Cl8O2
_symmetry_space_group_name_H-M 'P 1'
_symmetry_Int_Tables_number 1
_symmetry_space_group_name_Hall 'P 1'
_cell_length_a 6.955
_cell_length_b 7.265
_cell_length_c 7.356
_cell_angle_alpha 104.53
_cell_angle_beta 91.56
_cell_angle_gamma 105.49
loop_
_atom_site_label
_atom_site_type_symbol
_atom_site_fract_x
_atom_site_fract_y
_atom_site_fract_z
_atom_site_occupancy
Mg1 Mg 0.000 0.000 0.000 1
Mo1 Mo 0.847 0.088 0.503 1
Mo2 Mo 0.988 0.512 0.046 1
Cl1 Cl 0.071 0.413 0.666 1
Cl2 Cl 0.071 0.957 0.664 1
Cl3 Cl 0.240 0.345 0.085 1
Cl4 Cl 0.246 0.813 0.055 1
Cl5 Cl 0.595 0.804 0.498 1
Cl6 Cl 0.602 0.245 0.475 1
Cl7 Cl 0.748 0.181 0.928 1
Cl8 Cl 0.756 0.658 0.923 1
O1 O 0.930 0.047 0.280 1
O2 O 0.932 0.559 0.271 1
```